DFT (PBE+U) results for a relaxed Mn8Si6O25 crystal.

Cell lengths 12.8473, 12.8473, 7.6443 Å; angles 90.07, 90.07, 60.04 degrees
Fractional coordinates of all 78 atoms:
Mn1 0.0000 0.0000 0.0000
Mn2 0.9997 0.2418 0.0003
Mn3 0.0000 0.5000 0.0000
Mn4 0.0003 0.7582 0.9997
Mn5 0.2418 0.9997 0.0003
Mn6 0.2423 0.7577 0.0000
Mn7 0.2523 0.2523 0.9594
Mn8 0.2524 0.4949 0.9598
Mn9 0.4949 0.2524 0.9598
Mn10 0.5000 0.0000 0.0000
Mn11 0.5000 0.5000 0.0000
Mn12 0.5051 0.7476 0.0402
Mn13 0.7476 0.5051 0.0402
Mn14 0.7477 0.7477 0.0406
Mn15 0.7582 0.0003 0.9997
Mn16 0.7577 0.2423 0.0000
Si1 0.0903 0.3324 0.3600
Si2 0.0901 0.5772 0.3599
Si3 0.3324 0.0903 0.3600
Si4 0.3324 0.5770 0.3600
Si5 0.4230 0.6676 0.6400
Si6 0.4228 0.9099 0.6401
Si7 0.5772 0.0901 0.3599
Si8 0.5770 0.3324 0.3600
Si9 0.6676 0.4230 0.6400
Si10 0.6676 0.9097 0.6400
Si11 0.9099 0.4228 0.6401
Si12 0.9097 0.6676 0.6400
O1 0.0001 0.3231 0.5001
O2 0.9999 0.6769 0.4999
O3 0.0588 0.3362 0.1503
O4 0.0588 0.6046 0.1503
O5 0.0803 0.0803 0.1174
O6 0.0799 0.8393 0.1168
O7 0.1005 0.4497 0.4020
O8 0.1487 0.4256 0.8816
O9 0.1607 0.9201 0.8832
O10 0.1649 0.1649 0.8962
O11 0.1652 0.6697 0.8958
O12 0.2201 0.2201 0.3993
O13 0.2201 0.5598 0.3994
O14 0.3231 0.0001 0.5001
O15 0.3232 0.6768 0.5000
O16 0.3303 0.8348 0.1042
O17 0.3334 0.3334 0.0655
O18 0.3362 0.0588 0.1503
O19 0.3366 0.6042 0.1506
O20 0.3954 0.9412 0.8497
O21 0.3958 0.6634 0.8494
O22 0.4256 0.1487 0.8816
O23 0.4255 0.4255 0.8818
O24 0.4402 0.7799 0.6006
O25 0.4495 0.4495 0.4023
O26 0.4497 0.1005 0.4020
O27 0.5503 0.8995 0.5980
O28 0.5505 0.5505 0.5977
O29 0.5598 0.2201 0.3994
O30 0.5745 0.5745 0.1182
O31 0.5744 0.8513 0.1184
O32 0.6042 0.3366 0.1506
O33 0.6046 0.0588 0.1503
O34 0.6634 0.3958 0.8494
O35 0.6638 0.9412 0.8497
O36 0.6666 0.6666 0.9345
O37 0.6697 0.1652 0.8958
O38 0.6769 0.9999 0.4999
O39 0.6768 0.3232 0.5000
O40 0.7799 0.4402 0.6006
O41 0.7799 0.7799 0.6007
O42 0.8348 0.3303 0.1042
O43 0.8351 0.8351 0.1038
O44 0.8393 0.0799 0.1168
O45 0.8513 0.5744 0.1184
O46 0.8995 0.5503 0.5980
O47 0.9201 0.1607 0.8832
O48 0.9197 0.9197 0.8826
O49 0.9412 0.3954 0.8497
O50 0.9412 0.6638 0.8497

Summary:
crystal system = monoclinic
relative energy among the computed polymorphs = 2 meV/atom

DFT (PBE+U) results for a relaxed Mn7SiO12 crystal.

Cell lengths 12.0737, 12.0737, 12.0737 Å; angles 131.43, 131.43, 71.13 degrees
Fractional coordinates of all 80 atoms:
Mn1 0.0000 0.0000 0.0000
Mn2 0.0000 0.0000 0.5000
Mn3 0.0000 0.5000 0.0000
Mn4 0.0000 0.5000 0.5000
Mn5 0.0918 0.4082 0.2500
Mn6 0.1250 0.3750 0.7500
Mn7 0.1582 0.9082 0.8165
Mn8 0.2212 0.2500 0.4712
Mn9 0.2500 0.2788 0.0288
Mn10 0.2500 0.7788 0.5288
Mn11 0.2788 0.7500 0.0288
Mn12 0.3418 0.1582 0.7500
Mn13 0.3750 0.1250 0.2500
Mn14 0.4082 0.6582 0.3165
Mn15 0.5000 0.0000 0.0000
Mn16 0.5000 0.0000 0.5000
Mn17 0.5000 0.5000 0.0000
Mn18 0.5000 0.5000 0.5000
Mn19 0.5918 0.3418 0.6835
Mn20 0.6250 0.8750 0.7500
Mn21 0.6582 0.8418 0.2500
Mn22 0.7212 0.2500 0.9712
Mn23 0.7500 0.2212 0.4712
Mn24 0.7500 0.7212 0.9712
Mn25 0.7788 0.7500 0.5288
Mn26 0.8418 0.0918 0.1835
Mn27 0.8750 0.6250 0.2500
Mn28 0.9082 0.5918 0.7500
Si1 0.1250 0.8750 0.2500
Si2 0.3750 0.6250 0.7500
Si3 0.6250 0.3750 0.2500
Si4 0.8750 0.1250 0.7500
O1 0.0124 0.0650 0.7248
O2 0.0165 0.1138 0.2192
O3 0.0650 0.8402 0.0526
O4 0.0705 0.6367 0.3532
O5 0.1054 0.3862 0.4027
O6 0.1138 0.3946 0.0973
O7 0.1367 0.5705 0.8532
O8 0.1598 0.7125 0.2248
O9 0.2027 0.9835 0.5973
O10 0.2125 0.6598 0.7248
O11 0.2164 0.2827 0.8532
O12 0.2173 0.2836 0.6468
O13 0.2827 0.9295 0.0663
O14 0.2836 0.1367 0.0663
O15 0.2875 0.0124 0.4474
O16 0.2973 0.8946 0.7808
O17 0.3402 0.5650 0.5526
O18 0.3633 0.2164 0.4337
O19 0.3862 0.4835 0.2808
O20 0.3946 0.7973 0.2808
O21 0.4295 0.7827 0.5663
O22 0.4350 0.4876 0.7752
O23 0.4835 0.7027 0.0973
O24 0.4876 0.2125 0.0526
O25 0.5124 0.7875 0.9474
O26 0.5165 0.2973 0.9027
O27 0.5650 0.5124 0.2248
O28 0.5705 0.2173 0.4337
O29 0.6054 0.2027 0.7192
O30 0.6138 0.5165 0.7192
O31 0.6367 0.7836 0.5663
O32 0.6598 0.4350 0.4474
O33 0.7027 0.1054 0.2192
O34 0.7125 0.9876 0.5526
O35 0.7164 0.8633 0.9337
O36 0.7173 0.0705 0.9337
O37 0.7827 0.7164 0.3532
O38 0.7836 0.7173 0.1468
O39 0.7875 0.3402 0.2752
O40 0.7973 0.0165 0.4027
O41 0.8402 0.2875 0.7752
O42 0.8633 0.4295 0.1468
O43 0.8862 0.6054 0.9027
O44 0.8946 0.6138 0.5973
O45 0.9295 0.3633 0.6468
O46 0.9350 0.1598 0.9474
O47 0.9835 0.8862 0.7808
O48 0.9876 0.9350 0.2752

Summary:
crystal system = tetragonal
relative energy among the computed polymorphs = 336 meV/atom

DFT (PBE+U) results for a relaxed Mn2Si2O7 crystal.

Cell lengths 12.5142, 4.9674, 4.9674 Å; angles 115.22, 90.00, 90.00 degrees
Fractional coordinates of all 22 atoms:
Mn1 0.0000 0.0000 0.0000
Mn2 0.2500 0.0338 0.9657
Mn3 0.5000 0.0000 0.0000
Mn4 0.7500 0.9657 0.0338
Si1 0.1329 0.6644 0.3359
Si2 0.3671 0.6644 0.3359
Si3 0.6329 0.3359 0.6644
Si4 0.8671 0.3359 0.6644
O1 0.0352 0.7852 0.2153
O2 0.1355 0.8047 0.7041
O3 0.1356 0.2962 0.1942
O4 0.2500 0.7654 0.2366
O5 0.3644 0.2962 0.1942
O6 0.3645 0.8047 0.7041
O7 0.4648 0.7852 0.2153
O8 0.5352 0.2153 0.7852
O9 0.6355 0.7041 0.8047
O10 0.6356 0.1942 0.2962
O11 0.7500 0.2366 0.7654
O12 0.8644 0.1942 0.2962
O13 0.8645 0.7041 0.8047
O14 0.9648 0.2153 0.7852

Summary:
crystal system = orthorhombic
electronic total energy = -7.671 eV per atom

DFT (PBE+U) results for a relaxed MnSi2O5 crystal.

Cell lengths 5.2391, 5.2391, 6.6777 Å; angles 105.22, 105.22, 103.46 degrees
Fractional coordinates of all 16 atoms:
Mn1 0.1814 0.8186 0.7500
Mn2 0.8186 0.1814 0.2500
Si1 0.1737 0.8263 0.2500
Si2 0.5000 0.5000 0.0000
Si3 0.5000 0.5000 0.5000
Si4 0.8263 0.1737 0.7500
O1 0.1524 0.2456 0.9006
O2 0.2071 0.6281 0.4037
O3 0.2456 0.1524 0.4006
O4 0.3719 0.7929 0.0963
O5 0.4368 0.5632 0.7500
O6 0.5632 0.4368 0.2500
O7 0.6281 0.2071 0.9037
O8 0.7544 0.8476 0.5994
O9 0.7929 0.3719 0.5963
O10 0.8476 0.7544 0.0994

Summary:
crystal system = monoclinic
electronic total energy = -7.826 eV per atom

DFT (PBE+U) results for a relaxed Mn8Si6O25 crystal.

Cell lengths 12.7965, 12.7965, 7.7175 Å; angles 90.35, 90.35, 60.51 degrees
Fractional coordinates of all 78 atoms:
Mn1 0.0000 0.0000 0.0000
Mn2 0.0000 0.5000 0.0000
Mn3 0.0011 0.7600 0.9981
Mn4 0.2400 0.9989 0.0019
Mn5 0.2445 0.7555 0.0000
Mn6 0.2519 0.2519 0.9614
Mn7 0.2536 0.4948 0.9649
Mn8 0.4948 0.2536 0.9649
Mn9 0.5000 0.0000 0.0000
Mn10 0.5000 0.5000 0.0000
Mn11 0.5052 0.7464 0.0351
Mn12 0.7464 0.5052 0.0351
Mn13 0.7481 0.7481 0.0386
Mn14 0.7555 0.2445 0.0000
Mn15 0.7600 0.0011 0.9981
Mn16 0.9989 0.2400 0.0019
Si1 0.0885 0.5785 0.3571
Si2 0.0889 0.3312 0.3581
Si3 0.3312 0.0889 0.3581
Si4 0.3334 0.5763 0.3589
Si5 0.4215 0.9115 0.6429
Si6 0.4237 0.6666 0.6411
Si7 0.5763 0.3334 0.3589
Si8 0.5785 0.0885 0.3571
Si9 0.6666 0.4237 0.6411
Si10 0.6688 0.9111 0.6419
Si11 0.9111 0.6688 0.6419
Si12 0.9115 0.4215 0.6429
O1 0.0002 0.3237 0.5013
O2 0.9998 0.6763 0.4987
O3 0.0553 0.3341 0.1514
O4 0.0556 0.6077 0.1499
O5 0.0736 0.8419 0.1157
O6 0.0804 0.0804 0.1222
O7 0.0981 0.4504 0.3941
O8 0.1494 0.4258 0.8876
O9 0.1581 0.9264 0.8843
O10 0.1639 0.1639 0.9017
O11 0.1669 0.6684 0.8984
O12 0.2193 0.2193 0.3947
O13 0.2192 0.5605 0.3940
O14 0.3237 0.0002 0.5013
O15 0.3246 0.6754 0.5000
O16 0.3316 0.8331 0.1016
O17 0.3341 0.0553 0.1514
O18 0.3344 0.3344 0.0695
O19 0.3388 0.6020 0.1519
O20 0.3923 0.9444 0.8501
O21 0.3980 0.6612 0.8481
O22 0.4251 0.4251 0.8835
O23 0.4258 0.1494 0.8876
O24 0.4395 0.7808 0.6060
O25 0.4491 0.4491 0.4026
O26 0.4504 0.0981 0.3941
O27 0.5496 0.9019 0.6059
O28 0.5509 0.5509 0.5974
O29 0.5605 0.2192 0.3940
O30 0.5742 0.8506 0.1124
O31 0.5749 0.5749 0.1165
O32 0.6020 0.3388 0.1519
O33 0.6077 0.0556 0.1499
O34 0.6612 0.3980 0.8481
O35 0.6656 0.6656 0.9305
O36 0.6659 0.9447 0.8486
O37 0.6684 0.1669 0.8984
O38 0.6754 0.3246 0.5000
O39 0.6763 0.9998 0.4987
O40 0.7808 0.4395 0.6060
O41 0.7807 0.7807 0.6053
O42 0.8331 0.3316 0.1016
O43 0.8361 0.8361 0.0983
O44 0.8419 0.0736 0.1157
O45 0.8506 0.5742 0.1124
O46 0.9019 0.5496 0.6059
O47 0.9196 0.9196 0.8778
O48 0.9264 0.1581 0.8843
O49 0.9444 0.3923 0.8501
O50 0.9447 0.6659 0.8486

Summary:
crystal system = monoclinic
relative energy among the computed polymorphs = 0 meV/atom

DFT (PBE+U) results for a relaxed Mn7Si3O14 crystal.

Cell lengths 10.6171, 4.9041, 11.3019 Å; angles 90.00, 104.17, 90.00 degrees
Fractional coordinates of all 48 atoms:
Mn1 0.0681 0.0000 0.1459
Mn2 0.0769 0.4708 0.4256
Mn3 0.1723 0.4807 0.7007
Mn4 0.2528 0.4827 0.9968
Mn5 0.3284 0.4902 0.2952
Mn6 0.4088 0.5028 0.5915
Mn7 0.4272 0.9515 0.8478
Mn8 0.5728 0.4515 0.1522
Mn9 0.5912 0.0028 0.4085
Mn10 0.6716 0.9902 0.7048
Mn11 0.7472 0.9827 0.0032
Mn12 0.8277 0.9807 0.2993
Mn13 0.9231 0.9708 0.5744
Mn14 0.9319 0.5000 0.8541
Si1 0.1187 0.0580 0.8517
Si2 0.2707 0.0664 0.4419
Si3 0.3837 0.9054 0.1426
Si4 0.6163 0.4054 0.8574
Si5 0.7293 0.5664 0.5581
Si6 0.8813 0.5580 0.1483
O1 0.0226 0.2074 0.7305
O2 0.0566 0.6758 0.5687
O3 0.0830 0.1967 0.9726
O4 0.1163 0.7271 0.8522
O5 0.1711 0.2082 0.3168
O6 0.2323 0.2294 0.5546
O7 0.2390 0.7694 0.1437
O8 0.2600 0.2039 0.8454
O9 0.2711 0.7341 0.4371
O10 0.3308 0.6846 0.7174
O11 0.3816 0.2377 0.1459
O12 0.4167 0.1998 0.4411
O13 0.4195 0.7671 0.0217
O14 0.4814 0.7557 0.2622
O15 0.5186 0.2557 0.7378
O16 0.5805 0.2671 0.9783
O17 0.5833 0.6998 0.5589
O18 0.6184 0.7377 0.8541
O19 0.6692 0.1846 0.2826
O20 0.7289 0.2341 0.5629
O21 0.7400 0.7039 0.1546
O22 0.7610 0.2694 0.8563
O23 0.7677 0.7294 0.4454
O24 0.8289 0.7082 0.6832
O25 0.8837 0.2271 0.1478
O26 0.9170 0.6967 0.0274
O27 0.9434 0.1758 0.4313
O28 0.9774 0.7074 0.2695

Summary:
crystal system = monoclinic
electronic total energy = -7.819 eV per atom

DFT (PBE+U) results for a relaxed Mn7SiO12 crystal.

Cell lengths 12.1221, 12.1221, 12.1221 Å; angles 134.12, 134.12, 66.90 degrees
Fractional coordinates of all 80 atoms:
Mn1 0.0000 0.0000 0.0000
Mn2 0.0000 0.0000 0.5000
Mn3 0.0000 0.5000 0.0000
Mn4 0.0000 0.5000 0.5000
Mn5 0.1043 0.8543 0.7085
Mn6 0.1250 0.3750 0.7500
Mn7 0.1457 0.3543 0.2500
Mn8 0.2465 0.2500 0.4965
Mn9 0.2500 0.2535 0.0035
Mn10 0.2500 0.7535 0.5035
Mn11 0.2535 0.7500 0.0035
Mn12 0.3543 0.6043 0.2085
Mn13 0.3750 0.1250 0.2500
Mn14 0.3957 0.1043 0.7500
Mn15 0.5000 0.0000 0.0000
Mn16 0.5000 0.0000 0.5000
Mn17 0.5000 0.5000 0.0000
Mn18 0.5000 0.5000 0.5000
Mn19 0.6043 0.8957 0.2500
Mn20 0.6250 0.8750 0.7500
Mn21 0.6457 0.3957 0.7915
Mn22 0.7465 0.2500 0.9965
Mn23 0.7500 0.2465 0.4965
Mn24 0.7500 0.7465 0.9965
Mn25 0.7535 0.7500 0.5035
Mn26 0.8543 0.6457 0.7500
Mn27 0.8750 0.6250 0.2500
Mn28 0.8957 0.1457 0.2915
Si1 0.1250 0.8750 0.2500
Si2 0.3750 0.6250 0.7500
Si3 0.6250 0.3750 0.2500
Si4 0.8750 0.1250 0.7500
O1 0.0258 0.2846 0.9710
O2 0.0345 0.7946 0.4459
O3 0.0548 0.0258 0.2412
O4 0.0556 0.7965 0.9397
O5 0.0886 0.3487 0.5541
O6 0.1158 0.0556 0.7591
O7 0.1433 0.7035 0.7591
O8 0.1513 0.4114 0.9459
O9 0.1863 0.9452 0.4710
O10 0.2035 0.6433 0.2591
O11 0.2054 0.1513 0.2399
O12 0.2154 0.4742 0.5290
O13 0.2846 0.8137 0.2588
O14 0.2946 0.5345 0.9459
O15 0.2965 0.5556 0.4397
O16 0.3137 0.7846 0.7588
O17 0.3487 0.2946 0.2601
O18 0.3567 0.1158 0.5603
O19 0.3842 0.1433 0.9397
O20 0.4114 0.9655 0.2601
O21 0.4444 0.3842 0.7409
O22 0.4452 0.6863 0.9710
O23 0.4655 0.9114 0.7601
O24 0.4742 0.4452 0.2588
O25 0.5258 0.5548 0.7412
O26 0.5345 0.0886 0.2399
O27 0.5548 0.3137 0.0290
O28 0.5556 0.6158 0.2591
O29 0.5886 0.0345 0.7399
O30 0.6158 0.8567 0.0603
O31 0.6433 0.8842 0.4397
O32 0.6513 0.7054 0.7399
O33 0.6863 0.2154 0.2412
O34 0.7035 0.4444 0.5603
O35 0.7054 0.4655 0.0541
O36 0.7154 0.1863 0.7412
O37 0.7846 0.5258 0.4710
O38 0.7946 0.8487 0.7601
O39 0.7965 0.3567 0.7409
O40 0.8137 0.0548 0.5290
O41 0.8487 0.5886 0.0541
O42 0.8567 0.2965 0.2409
O43 0.8842 0.9444 0.2409
O44 0.9114 0.6513 0.4459
O45 0.9444 0.2035 0.0603
O46 0.9452 0.9742 0.7588
O47 0.9655 0.2054 0.5541
O48 0.9742 0.7154 0.0290

Summary:
crystal system = tetragonal
relative energy among the computed polymorphs = 258 meV/atom